(1)
Computed, not measured: a geometry-optimized CaMg6NiO8 structure at the PBE+U level of DFT.

POSCAR file:
```
CaMg6NiO8
1.0
-0.818 5.206 -6.826
-3.587 1.745 1.761
2.445 3.007 2.000
Ca Mg Ni O
1 6 1 8
direct
0.000 0.000 0.000
0.500 0.000 0.000
0.500 0.500 0.500
0.254 0.000 0.500
0.746 0.000 0.500
0.254 0.500 0.000
0.746 0.500 0.000
0.000 0.500 0.500
0.264 0.000 0.000
0.736 0.000 0.000
0.250 0.500 0.500
0.750 0.500 0.500
0.000 0.000 0.500
0.500 0.000 0.500
0.000 0.500 0.000
0.500 0.500 0.000
```

Summary:
Total magnetization, μB per atom: 0.1250
Corrected total energy (MP2020 scheme), eV/atom: -6.34
Energy of formation, eV per atom: -2.774
SG: P4/mmm (123)



(2)
Computed, not measured: a geometry-optimized NaVSi2O6 structure at the PBE+U level of DFT.

POSCAR file:
```
NaVSi2O6
1.0
-0.244 -5.255 1.138
6.354 -1.561 0.940
-0.345 5.199 12.069
Na V Si O
4 4 8 24
direct
0.100 0.299 0.350
0.600 0.299 0.850
0.400 0.701 0.150
0.900 0.701 0.650
0.297 0.906 0.547
0.203 0.094 0.953
0.797 0.905 0.047
0.703 0.095 0.453
0.448 0.202 0.191
0.948 0.202 0.691
0.858 0.382 0.101
0.358 0.382 0.601
0.642 0.618 0.399
0.142 0.618 0.899
0.052 0.798 0.309
0.552 0.798 0.809
0.050 0.963 0.402
0.550 0.963 0.902
0.450 0.037 0.098
0.950 0.037 0.598
0.630 0.804 0.482
0.130 0.803 0.982
0.870 0.196 0.018
0.370 0.197 0.518
0.747 0.618 0.054
0.247 0.618 0.554
0.753 0.382 0.446
0.253 0.382 0.946
0.998 0.892 0.191
0.498 0.892 0.691
0.502 0.108 0.309
0.002 0.108 0.809
0.153 0.358 0.172
0.653 0.358 0.672
0.840 0.655 0.321
0.340 0.655 0.821
0.660 0.345 0.179
0.160 0.345 0.679
0.347 0.642 0.328
0.847 0.642 0.828
```

Summary:
Total magnetization, μB per atom: 0.0000
Corrected total energy (MP2020 scheme), eV/atom: -8.04
Energy of formation, eV per atom: -2.947



(3)
Computed, not measured: a geometry-optimized Sr6Ca2MnFe7O20 structure at the PBE+U level of DFT.

POSCAR file:
```
Sr6Ca2MnFe7O20
1.0
0.004 -0.013 11.137
11.462 0.009 0.004
-5.720 15.575 -5.588
Sr Ca Mn Fe O
24 8 4 28 80
direct
0.306 0.062 0.609
0.307 0.559 0.609
0.808 0.065 0.610
0.809 0.562 0.610
0.195 0.434 0.389
0.198 0.438 0.891
0.195 0.936 0.388
0.696 0.435 0.389
0.699 0.441 0.892
0.696 0.935 0.389
0.700 0.938 0.895
0.056 0.294 0.110
0.059 0.298 0.611
0.057 0.796 0.609
0.557 0.299 0.609
0.555 0.794 0.110
0.556 0.795 0.607
0.445 0.203 0.387
0.447 0.204 0.893
0.444 0.703 0.387
0.449 0.702 0.894
0.945 0.204 0.387
0.948 0.206 0.893
0.945 0.702 0.387
0.302 0.066 0.105
0.302 0.567 0.105
0.801 0.066 0.105
0.802 0.568 0.105
0.201 0.935 0.899
0.054 0.787 0.105
0.554 0.288 0.105
0.954 0.712 0.898
0.111 0.602 0.754
0.615 0.601 0.752
0.365 0.407 0.752
0.359 0.903 0.753
0.008 0.001 0.004
0.003 0.999 0.498
0.007 0.503 0.003
0.003 0.500 0.500
0.506 0.003 0.004
0.503 0.001 0.499
0.507 0.500 0.005
0.504 0.500 0.500
0.258 0.252 0.005
0.254 0.249 0.500
0.254 0.751 0.003
0.252 0.750 0.499
0.756 0.254 0.005
0.754 0.250 0.500
0.758 0.752 0.004
0.754 0.749 0.499
0.103 0.084 0.244
0.111 0.084 0.754
0.104 0.591 0.246
0.604 0.090 0.246
0.611 0.089 0.752
0.603 0.584 0.245
0.357 0.409 0.246
0.351 0.908 0.244
0.851 0.408 0.244
0.863 0.418 0.754
0.857 0.910 0.246
0.862 0.906 0.752
0.123 0.121 0.490
0.127 0.117 0.988
0.123 0.621 0.491
0.122 0.625 0.991
0.624 0.122 0.491
0.626 0.125 0.994
0.623 0.623 0.492
0.629 0.623 0.995
0.138 0.382 0.015
0.130 0.376 0.504
0.136 0.880 0.015
0.131 0.878 0.506
0.637 0.380 0.017
0.632 0.377 0.507
0.638 0.884 0.015
0.632 0.878 0.507
0.374 0.119 0.491
0.374 0.120 0.993
0.373 0.620 0.491
0.374 0.619 0.995
0.874 0.119 0.491
0.875 0.118 0.992
0.873 0.619 0.490
0.879 0.622 0.993
0.389 0.383 0.019
0.380 0.378 0.504
0.382 0.888 0.014
0.382 0.880 0.507
0.884 0.388 0.015
0.881 0.378 0.505
0.888 0.882 0.015
0.882 0.880 0.507
0.091 0.098 0.138
0.087 0.092 0.643
0.090 0.605 0.140
0.071 0.585 0.635
0.588 0.105 0.140
0.582 0.096 0.641
0.592 0.600 0.140
0.574 0.586 0.635
0.442 0.407 0.357
0.444 0.414 0.870
0.438 0.908 0.357
0.443 0.914 0.868
0.937 0.407 0.356
0.945 0.403 0.863
0.941 0.907 0.358
0.946 0.894 0.861
0.334 0.282 0.141
0.326 0.299 0.634
0.334 0.782 0.140
0.320 0.801 0.637
0.836 0.281 0.140
0.837 0.301 0.642
0.839 0.784 0.141
0.832 0.793 0.640
0.187 0.198 0.355
0.195 0.209 0.861
0.186 0.704 0.358
0.194 0.712 0.869
0.686 0.203 0.358
0.693 0.208 0.861
0.687 0.699 0.357
0.695 0.704 0.868
0.426 0.056 0.239
0.442 0.053 0.751
0.426 0.559 0.239
0.443 0.567 0.752
0.926 0.059 0.239
0.937 0.058 0.752
0.927 0.556 0.239
0.933 0.576 0.760
0.186 0.442 0.248
0.192 0.450 0.752
0.174 0.929 0.240
0.182 0.931 0.760
0.675 0.429 0.241
0.692 0.443 0.751
0.686 0.942 0.248
0.689 0.938 0.752
```

Summary:
Total magnetization, μB per atom: 1.0813
Corrected total energy (MP2020 scheme), eV/atom: -7.44
Energy of formation, eV per atom: -2.393
SG: P1 (1)



(4)
Computed, not measured: a geometry-optimized Co3C9SeO9 structure at the PBE+U level of DFT.

POSCAR file:
```
Co3C9SeO9
1.0
-0.506 3.108 7.437
-4.266 5.002 -5.880
-9.328 -6.851 -0.030
Co C Se O
6 18 2 18
direct
0.956 0.729 0.692
0.044 0.271 0.308
0.852 0.938 0.790
0.148 0.062 0.210
0.636 0.623 0.765
0.364 0.377 0.235
0.871 0.767 0.546
0.129 0.233 0.454
0.508 0.642 0.628
0.492 0.358 0.372
0.755 0.001 0.655
0.245 0.999 0.345
0.188 0.857 0.707
0.812 0.143 0.293
0.970 0.535 0.673
0.030 0.465 0.327
0.609 0.412 0.760
0.391 0.588 0.240
0.488 0.625 0.862
0.512 0.375 0.138
0.736 0.988 0.891
0.264 0.012 0.109
0.068 0.098 0.817
0.932 0.902 0.183
0.913 0.721 0.883
0.087 0.279 0.117
0.819 0.790 0.448
0.181 0.210 0.552
0.416 0.647 0.539
0.584 0.353 0.461
0.697 0.049 0.568
0.303 0.951 0.432
0.341 0.933 0.716
0.659 0.067 0.284
0.990 0.414 0.659
0.010 0.586 0.341
0.593 0.276 0.759
0.407 0.724 0.241
0.388 0.620 0.924
0.612 0.380 0.076
0.666 0.026 0.957
0.334 0.974 0.043
0.205 0.207 0.837
0.795 0.793 0.163
```

Summary:
Total magnetization, μB per atom: 0.0454
Corrected total energy (MP2020 scheme), eV/atom: -7.66
Energy of formation, eV per atom: -0.729
SG: P-1 (2)



(5)
Computed, not measured: a geometry-optimized CdFe2O4 structure at the PBE+U level of DFT.

POSCAR file:
```
CdFe2O4
1.0
-4.605 2.972 -2.486
-4.279 -3.277 -3.299
-5.834 -1.163 2.122
Cd Fe O
2 4 8
direct
0.126 0.125 0.126
0.874 0.875 0.874
0.500 0.000 0.500
0.000 0.500 0.500
0.500 0.500 0.000
0.500 0.500 0.500
0.728 0.732 0.734
0.267 0.271 0.696
0.267 0.695 0.271
0.695 0.266 0.267
0.733 0.305 0.729
0.305 0.734 0.733
0.272 0.268 0.266
0.733 0.729 0.304
```

Summary:
Total magnetization, μB per atom: 1.4286
Corrected total energy (MP2020 scheme), eV/atom: -6.95
Energy of formation, eV per atom: -1.571
SG: P-1 (2)
Excess energy over the best structure of this formula in the dataset, eV per formula unit: 0.36



(6)
Computed, not measured: a geometry-optimized Ti3Fe3Sb2O16 structure at the PBE+U level of DFT.

POSCAR file:
```
Ti3Fe3Sb2O16
1.0
2.997 5.225 0.000
-2.997 5.225 0.000
0.000 0.075 9.365
Ti Fe Sb O
3 3 2 16
direct
0.336 0.832 0.790
0.832 0.336 0.790
0.164 0.164 0.286
0.831 0.831 0.791
0.169 0.662 0.292
0.662 0.169 0.292
0.669 0.669 0.510
0.335 0.335 0.013
0.346 0.835 0.396
0.524 0.524 0.660
0.659 0.659 0.897
0.004 0.004 0.698
0.000 0.000 0.197
0.835 0.346 0.396
0.516 0.954 0.660
0.954 0.516 0.660
0.174 0.174 0.893
0.832 0.832 0.400
0.043 0.471 0.158
0.471 0.043 0.158
0.331 0.331 0.396
0.176 0.658 0.896
0.478 0.478 0.159
0.658 0.176 0.896
```

Summary:
Total magnetization, μB per atom: 0.5834
Corrected total energy (MP2020 scheme), eV/atom: -7.97
Energy of formation, eV per atom: -2.284
SG: Cm (8)



(7)
Computed, not measured: a geometry-optimized VPbF5 structure at the PBE+U level of DFT.

POSCAR file:
```
VPbF5
1.0
-7.502 7.502 3.801
7.502 -7.502 3.801
7.502 7.502 -3.801
V Pb F
8 8 40
direct
0.712 0.712 0.000
0.315 0.795 0.153
0.643 0.162 0.847
0.795 0.643 0.481
0.162 0.315 0.519
0.221 0.221 0.000
0.974 0.474 0.500
0.474 0.974 0.500
0.046 0.764 0.827
0.937 0.219 0.173
0.764 0.937 0.718
0.219 0.046 0.282
0.248 0.566 0.837
0.728 0.411 0.163
0.566 0.728 0.318
0.411 0.248 0.682
0.086 0.692 0.189
0.502 0.896 0.811
0.692 0.502 0.606
0.896 0.086 0.394
0.724 0.224 0.500
0.224 0.724 0.500
0.466 0.466 0.000
0.194 0.541 0.130
0.411 0.064 0.870
0.541 0.411 0.347
0.064 0.194 0.653
0.210 0.721 0.963
0.758 0.247 0.037
0.721 0.758 0.512
0.247 0.210 0.488
0.768 0.414 0.864
0.551 0.904 0.136
0.414 0.551 0.646
0.904 0.768 0.354
0.968 0.968 0.000
0.042 0.594 0.684
0.910 0.358 0.316
0.594 0.910 0.552
0.358 0.042 0.448
0.092 0.260 0.922
0.338 0.170 0.078
0.260 0.338 0.168
0.170 0.092 0.832
0.429 0.851 0.335
0.516 0.094 0.665
0.851 0.516 0.422
0.094 0.429 0.578
0.842 0.673 0.082
0.591 0.760 0.918
0.673 0.591 0.831
0.760 0.842 0.169
0.853 0.238 0.803
0.435 0.050 0.197
0.238 0.435 0.385
0.050 0.853 0.615
```

Summary:
Total magnetization, μB per atom: 0.2857
Corrected total energy (MP2020 scheme), eV/atom: -6.15
Energy of formation, eV per atom: -2.952
SG: I4 (79)



(8)
Computed, not measured: a geometry-optimized Li4Co15O28 structure at the PBE+U level of DFT.

POSCAR file:
```
Li4Co15O28
1.0
-6.584 4.528 1.720
-5.545 -1.230 -6.617
-2.910 -3.684 6.101
Li Co O
4 15 28
direct
0.273 0.284 0.557
0.430 0.425 0.853
0.570 0.575 0.147
0.727 0.716 0.443
0.000 0.000 0.000
0.072 0.072 0.640
0.074 0.572 0.139
0.214 0.215 0.929
0.500 0.000 0.000
0.355 0.357 0.217
0.211 0.712 0.432
0.639 0.144 0.291
0.500 0.500 0.500
0.361 0.856 0.709
0.789 0.288 0.568
0.645 0.643 0.783
0.786 0.785 0.071
0.926 0.428 0.861
0.928 0.928 0.360
0.017 0.279 0.600
0.012 0.788 0.093
0.130 0.366 0.184
0.267 0.006 0.972
0.163 0.416 0.875
0.299 0.066 0.667
0.153 0.920 0.386
0.307 0.561 0.165
0.127 0.868 0.699
0.274 0.500 0.473
0.415 0.151 0.264
0.439 0.210 0.954
0.583 0.349 0.241
0.446 0.705 0.449
0.554 0.295 0.551
0.417 0.651 0.759
0.561 0.790 0.046
0.585 0.849 0.736
0.726 0.500 0.527
0.873 0.132 0.301
0.693 0.439 0.835
0.847 0.080 0.614
0.701 0.934 0.333
0.837 0.584 0.125
0.733 0.994 0.028
0.870 0.634 0.816
0.988 0.212 0.907
0.983 0.721 0.400
```

Summary:
Total magnetization, μB per atom: 0.2317
Corrected total energy (MP2020 scheme), eV/atom: -6.69
Energy of formation, eV per atom: -1.307
SG: P-1 (2)



Q: Which of these has the highest corrected total energy (MP2020 scheme)?
A: VPbF5